Record 1
Here is an optimized crystal structure of Cu7As6Se13 from the Materials Project. Energies are from PBE.

a b c (Å): 8.767 8.767 8.767
angles (deg): 102.36 102.36 102.36
Sites, in units of the cell vectors:
1 Se 0.097 0.741 0.281
2 As 0.643 0.059 0.527
3 Cu 0.754 0.754 0.754
4 Se 0.796 0.574 0.510
5 Cu 0.278 0.587 0.372
6 As 0.059 0.527 0.643
7 Se 0.281 0.097 0.741
8 Se 0.328 0.787 0.952
9 Se 0.952 0.328 0.787
10 Se 0.143 0.350 0.441
11 Cu 0.936 0.144 0.206
12 As 0.986 0.844 0.497
13 As 0.497 0.986 0.844
14 Cu 0.206 0.936 0.144
15 Se 0.441 0.143 0.350
16 Cu 0.587 0.372 0.278
17 As 0.527 0.643 0.059
18 As 0.844 0.497 0.986
19 Se 0.350 0.441 0.143
20 Se 0.970 0.970 0.970
21 Cu 0.144 0.206 0.936
22 Cu 0.372 0.278 0.587
23 Se 0.741 0.281 0.097
24 Se 0.510 0.796 0.574
25 Se 0.787 0.952 0.328
26 Se 0.574 0.510 0.796

Calculated values
- Energy with MP2020 corrections: -4.22 eV per atom
- Mass density: 5.156 g/cm3
- Energy of formation from the pure elements: -0.294 eV per atom
- SG: No. 146

***

Record 2
Here is an optimized crystal structure of ZrCuSiAs from the Materials Project. Energies are from PBE.

a b c (Å): 3.680 3.680 9.670
angles (deg): 90.00 90.00 90.00
Sites, in units of the cell vectors:
1 Zr 0.000 0.500 0.778
2 As 0.000 0.500 0.321
3 Cu 0.500 0.500 0.500
4 Cu 0.000 0.000 0.500
5 Si 0.500 0.500 0.000
6 Zr 0.500 0.000 0.222
7 Si 0.000 0.000 0.000
8 As 0.500 0.000 0.679

Calculated values
- Mass density: 6.539 g/cm3
- Energy of formation from the pure elements: -0.610 eV per atom
- SG: No. 129

***

Record 3
Here is an optimized crystal structure of Sm2Cu3As3 from the Materials Project. Energies are from PBE.

a b c (Å): 4.038 11.073 13.420
angles (deg): 90.00 90.00 90.00
Sites, in units of the cell vectors:
1 Cu 0.750 0.724 0.667
2 As 0.250 0.235 0.645
3 Cu 0.250 0.858 0.276
4 As 0.750 0.557 0.134
5 As 0.750 0.735 0.855
6 As 0.750 0.400 0.404
7 Cu 0.750 0.607 0.487
8 Sm 0.750 0.158 0.496
9 Cu 0.250 0.393 0.513
10 As 0.750 0.943 0.634
11 Cu 0.250 0.224 0.833
12 Sm 0.250 0.842 0.504
13 Cu 0.750 0.893 0.987
14 Cu 0.250 0.276 0.333
15 Cu 0.250 0.107 0.013
16 As 0.250 0.900 0.096
17 As 0.250 0.600 0.596
18 Cu 0.750 0.776 0.167
19 As 0.250 0.443 0.866
20 As 0.250 0.265 0.145
21 Sm 0.250 0.570 0.297
22 Cu 0.250 0.642 0.776
23 Cu 0.750 0.358 0.224
24 As 0.750 0.765 0.355
25 Sm 0.250 0.930 0.797
26 As 0.750 0.100 0.904
27 As 0.250 0.057 0.366
28 Sm 0.750 0.342 0.996
29 Sm 0.750 0.070 0.203
30 Sm 0.250 0.658 0.004
31 Sm 0.750 0.430 0.703
32 Cu 0.750 0.142 0.724

Calculated values
- Mass density: 7.927 g/cm3
- Energy of formation from the pure elements: -0.775 eV per atom
- SG: No. 62

***

Repeat the second record exactly.
Here is an optimized crystal structure of ZrCuSiAs from the Materials Project. Energies are from PBE.

a b c (Å): 3.680 3.680 9.670
angles (deg): 90.00 90.00 90.00
Sites, in units of the cell vectors:
1 Zr 0.000 0.500 0.778
2 As 0.000 0.500 0.321
3 Cu 0.500 0.500 0.500
4 Cu 0.000 0.000 0.500
5 Si 0.500 0.500 0.000
6 Zr 0.500 0.000 0.222
7 Si 0.000 0.000 0.000
8 As 0.500 0.000 0.679

Calculated values
- Mass density: 6.539 g/cm3
- Energy of formation from the pure elements: -0.610 eV per atom
- SG: No. 129